Entry 1:
# Ho2InOs | the Materials Project | PBE | relaxed
# M_tot, Bohr magnetons per cell: 0.0
# ρ, g/cm3: 11.8
# Energy of formation, eV/atom: -0.2568
# Calculated total energy, eV per atom: -6.0427
data_Ho2InOs
_cell_length_a 7.100
_cell_length_b 7.100
_cell_length_c 7.100
_cell_angle_alpha 90.00
_cell_angle_beta 90.00
_cell_angle_gamma 90.00
_symmetry_space_group_name_H-M 'F m -3 m'
_symmetry_Int_Tables_number 225
_symmetry_space_group_name_Hall '-F 4 2 3'
loop_
_atom_site_label
_atom_site_fract_x
_atom_site_fract_y
_atom_site_fract_z
Ho1 0.250 0.250 0.250
In1 0.000 0.000 0.000
Os1 0.000 0.000 0.500

---

Entry 2:
# Hf3N4 | the Materials Project | PBE | relaxed
# M_tot, Bohr magnetons per cell: 0.0
# Maximum piezoelectric response, C/m2: 1.19
# ρ, g/cm3: 13.0
# Energy of formation, eV/atom: -1.8011
# Calculated total energy, eV per atom: -10.6259
data_Hf3N4
_cell_length_a 6.715
_cell_length_b 6.715
_cell_length_c 6.715
_cell_angle_alpha 90.00
_cell_angle_beta 90.00
_cell_angle_gamma 90.00
_symmetry_space_group_name_H-M 'I -4 3 d'
_symmetry_Int_Tables_number 220
_symmetry_space_group_name_Hall 'I -4bd 2c 3'
loop_
_atom_site_label
_atom_site_fract_x
_atom_site_fract_y
_atom_site_fract_z
Hf1 0.000 0.250 0.875
N1 0.067 0.433 0.567

---

Entry 3:
# SiO2 | the Materials Project | PBE | relaxed
# M_tot, Bohr magnetons per cell: 0.0
# ρ, g/cm3: 4.1
# Energy of formation, eV/atom: -3.0711
# Calculated total energy, eV per atom: -7.7202
data_SiO2
_cell_length_a 4.233
_cell_length_b 4.233
_cell_length_c 2.693
_cell_angle_alpha 90.00
_cell_angle_beta 90.00
_cell_angle_gamma 90.00
_symmetry_space_group_name_H-M 'P 42/m n m'
_symmetry_Int_Tables_number 136
_symmetry_space_group_name_Hall '-P 4n 2n'
loop_
_atom_site_label
_atom_site_fract_x
_atom_site_fract_y
_atom_site_fract_z
Si1 0.000 0.000 0.000
O1 0.193 0.193 0.500

---

Entry 4:
# Na7ZnGa3P6O24 | the Materials Project | PBE | relaxed
# M_tot, Bohr magnetons per cell: 0.0
# ρ, g/cm3: 3.4
# Energy of formation, eV/atom: -2.5340
# Calculated total energy, eV per atom: -6.2985
data_Na7ZnGa3P6O24
_cell_length_a 8.821
_cell_length_b 8.833
_cell_length_c 21.781
_cell_angle_alpha 89.88
_cell_angle_beta 89.97
_cell_angle_gamma 60.05
_symmetry_space_group_name_H-M 'P 1'
_symmetry_Int_Tables_number 1
loop_
_symmetry_equiv_pos_as_xyz
'x,y,z'
loop_
_atom_site_label
_atom_site_fract_x
_atom_site_fract_y
_atom_site_fract_z
Na1 0.000 0.000 0.000
Na2 0.001 0.349 0.250
Na3 0.039 0.661 0.830
Na4 0.298 0.021 0.830
Na5 0.301 0.395 0.334
Na6 0.325 0.334 0.662
Na7 0.326 0.069 0.163
Na8 0.332 0.696 0.417
Na9 0.334 0.683 0.915
Na10 0.359 0.001 0.500
Na11 0.639 0.724 0.000
Na12 0.653 0.042 0.080
Na13 0.659 0.402 0.830
Na14 0.665 0.043 0.579
Na15 0.667 0.662 0.335
Na16 0.702 0.689 0.661
Na17 0.706 0.328 0.163
Na18 0.964 0.688 0.163
Na19 0.971 0.064 0.661
Na20 0.997 0.723 0.500
Na21 0.999 0.362 0.745
Zn1 0.002 0.361 0.096
Zn2 0.333 0.694 0.764
Zn3 0.997 0.360 0.593
Ga1 0.001 0.362 0.901
Ga2 0.327 0.700 0.269
Ga3 0.333 0.689 0.064
Ga4 0.338 0.688 0.564
Ga5 0.661 0.033 0.934
Ga6 0.665 0.029 0.731
Ga7 0.667 0.030 0.233
Ga8 0.668 0.033 0.432
Ga9 0.998 0.355 0.400
P1 0.001 0.658 0.999
P2 0.036 0.699 0.667
P3 0.041 0.982 0.166
P4 0.298 0.065 0.000
P5 0.298 0.361 0.498
P6 0.336 0.988 0.667
P7 0.337 0.404 0.168
P8 0.371 0.029 0.332
P9 0.373 0.316 0.833
P10 0.619 0.699 0.167
P11 0.625 0.399 0.668
P12 0.670 0.319 0.331
P13 0.671 0.735 0.834
P14 0.700 0.362 0.999
P15 0.701 0.659 0.498
P16 0.954 0.034 0.834
P17 0.960 0.736 0.332
P18 0.997 0.065 0.500
O1 0.011 0.538 0.660
O2 0.018 0.167 0.163
O3 0.025 0.547 0.940
O4 0.034 0.155 0.445
O5 0.120 0.873 0.106
O6 0.124 0.728 0.609
O7 0.138 0.871 0.831
O8 0.141 0.670 0.726
O9 0.148 0.710 0.328
O10 0.160 0.893 0.221
O11 0.165 0.681 0.003
O12 0.166 0.878 0.503
O13 0.174 0.383 0.164
O14 0.176 0.174 0.661
O15 0.177 0.394 0.441
O16 0.178 0.152 0.943
O17 0.188 0.331 0.838
O18 0.189 0.198 0.338
O19 0.222 0.166 0.059
O20 0.223 0.326 0.556
O21 0.308 0.911 0.726
O22 0.309 0.532 0.503
O23 0.310 0.513 0.227
O24 0.315 0.879 0.002
O25 0.349 0.501 0.830
O26 0.358 0.860 0.327
O27 0.365 0.871 0.609
O28 0.370 0.490 0.112
O29 0.451 0.206 0.773
O30 0.454 0.063 0.274
O31 0.481 0.194 0.490
O32 0.487 0.036 0.993
O33 0.490 0.996 0.389
O34 0.493 0.226 0.888
O35 0.501 0.490 0.613
O36 0.502 0.507 0.328
O37 0.505 0.217 0.171
O38 0.506 0.730 0.108
O39 0.508 0.001 0.670
O40 0.508 0.714 0.831
O41 0.513 0.683 0.503
O42 0.519 0.533 0.004
O43 0.534 0.671 0.225
O44 0.553 0.501 0.728
O45 0.632 0.231 0.385
O46 0.635 0.869 0.171
O47 0.640 0.213 0.671
O48 0.646 0.847 0.892
O49 0.679 0.847 0.491
O50 0.684 0.195 0.992
O51 0.696 0.216 0.271
O52 0.701 0.819 0.775
O53 0.788 0.394 0.942
O54 0.789 0.548 0.439
O55 0.804 0.537 0.163
O56 0.810 0.376 0.661
O57 0.811 0.327 0.057
O58 0.811 0.584 0.555
O59 0.831 0.344 0.338
O60 0.836 0.846 0.993
O61 0.837 0.037 0.491
O62 0.840 0.064 0.776
O63 0.841 0.549 0.838
O64 0.844 0.819 0.274
O65 0.851 0.870 0.670
O66 0.856 0.997 0.171
O67 0.868 0.006 0.892
O68 0.873 0.844 0.390
O69 0.965 0.583 0.057
O70 0.970 0.203 0.838
O71 0.971 0.162 0.560
O72 0.978 0.550 0.336

---

Entry 5:
# In4Cu9 | the Materials Project | PBE | relaxed
# M_tot, Bohr magnetons per cell: 0.0
# ρ, g/cm3: 8.8
# Energy of formation, eV/atom: 0.0169
# Calculated total energy, eV per atom: -3.6677
data_In4Cu9
_cell_length_a 9.188
_cell_length_b 9.188
_cell_length_c 9.188
_cell_angle_alpha 90.00
_cell_angle_beta 90.00
_cell_angle_gamma 90.00
_symmetry_space_group_name_H-M 'P -4 3 m'
_symmetry_Int_Tables_number 215
_symmetry_space_group_name_Hall 'P -4 2 3'
loop_
_atom_site_label
_atom_site_fract_x
_atom_site_fract_y
_atom_site_fract_z
In1 0.036 0.308 0.308
In2 0.373 0.373 0.627
Cu1 0.000 0.000 0.357
Cu2 0.098 0.098 0.098
Cu3 0.141 0.500 0.500
Cu4 0.170 0.170 0.830
Cu5 0.179 0.179 0.532
Cu6 0.331 0.331 0.331

---

Entry 6:
# MgTi4O6 | the Materials Project | PBE | relaxed
# M_tot, Bohr magnetons per cell: 0.2
# ρ, g/cm3: 4.8
# Energy of formation, eV/atom: -3.0217
# Calculated total energy, eV per atom: -8.3624
data_MgTi4O6
_cell_length_a 2.943
_cell_length_b 9.895
_cell_length_c 14.962
_cell_angle_alpha 90.00
_cell_angle_beta 90.00
_cell_angle_gamma 90.00
_symmetry_space_group_name_H-M 'C m c m'
_symmetry_Int_Tables_number 63
_symmetry_space_group_name_Hall '-C 2c 2'
loop_
_atom_site_label
_atom_site_fract_x
_atom_site_fract_y
_atom_site_fract_z
Mg1 0.000 0.158 0.250
Ti1 0.000 0.098 0.630
Ti2 0.000 0.353 0.540
O1 0.000 0.000 0.000
O2 0.000 0.189 0.750
O3 0.000 0.265 0.096
O4 0.000 0.456 0.662

---

Entry 7:
# CsHSO4 | the Materials Project | PBE | relaxed
# M_tot, Bohr magnetons per cell: 0.0
# ρ, g/cm3: 3.1
# Energy of formation, eV/atom: -1.9619
# Calculated total energy, eV per atom: -5.6003
data_CsHSO4
_cell_length_a 8.503
_cell_length_b 6.017
_cell_length_c 11.320
_cell_angle_alpha 90.00
_cell_angle_beta 120.36
_cell_angle_gamma 90.00
_symmetry_space_group_name_H-M 'P 1 21/c 1'
_symmetry_Int_Tables_number 14
loop_
_symmetry_equiv_pos_as_xyz
'x,y,z'
'-x,-y,-z'
'-x,y+1/2,-z+1/2'
'x,-y+1/2,z+1/2'
loop_
_atom_site_label
_atom_site_fract_x
_atom_site_fract_y
_atom_site_fract_z
Cs1 0.212 0.242 0.349
H1 0.468 0.512 0.720
S1 0.257 0.737 0.104
O1 0.111 0.743 0.962
O2 0.201 0.748 0.207
O3 0.371 0.542 0.620
O4 0.385 0.548 0.132

---

Entry 8:
# GeSb2Te4 | the Materials Project | PBE | relaxed
# M_tot, Bohr magnetons per cell: 0.0
# ρ, g/cm3: 6.1
# Energy of formation, eV/atom: -0.3531
# Calculated total energy, eV per atom: -3.7483
data_GeSb2Te4
_cell_length_a 4.3095
_cell_length_b 4.3095
_cell_length_c 41.6912
_cell_angle_alpha 90.00
_cell_angle_beta 90.00
_cell_angle_gamma 120.00
_symmetry_space_group_name_H-M 'R 3 m'
_symmetry_Int_Tables_number 160
_symmetry_space_group_name_Hall 'R 3 -2"'
loop_
_atom_site_label
_atom_site_fract_x
_atom_site_fract_y
_atom_site_fract_z
Ge1 0.0000 0.0000 0.0000
Sb1 0.0000 0.0000 0.4275
Sb2 0.0000 0.0000 0.8561
Te1 0.0000 0.0000 0.1409
Te2 0.0000 0.0000 0.2993
Te3 0.0000 0.0000 0.5637
Te4 0.0000 0.0000 0.7193

---

Which value of M_tot does entry 3 give? 0.0 Bohr magnetons per cell

---

Number 6 is which compound? MgTi4O6

---

Among the records above, which one has the lowest ρ? CsHSO4